No. 1
The following is a PBE with a Hubbard U calculation of Li3V2NiO6 after structural relaxation, from Materials Project.

Lattice parameters (Å, degrees): 6.5566 6.5566 5.9407 76.34 76.34 26.31
Sites, in units of the cell vectors:
O 0.4896 0.4896 0.7509
O 0.8277 0.8277 0.0705
O 0.5104 0.5104 0.2491
O 0.8317 0.8317 0.6053
O 0.1723 0.1723 0.9295
O 0.1683 0.1683 0.3947
V 0.3351 0.3351 0.8316
V 0.6649 0.6649 0.1684
Li 0.3376 0.3376 0.3399
Li 0.6624 0.6624 0.6601
Li 0.0000 0.0000 0.0000
Ni 0.0000 0.0000 0.5000

Values from the calculation:
As for the total moment: 5.0 μB/cell. As for the energy relative to the elements: -2581 kJ/mol of formula units. The calculated density comes out at 4.2 g cm⁻³. The calculation puts the volume at 9.15 Å³ per atom. The calculation puts the total energy at -6.338 eV/atom. As for the crystal system: monoclinic. The space-group type is C2/m (12).

No. 2
The following is a PBE with a Hubbard U calculation of Li4VNi3O8 after structural relaxation, from Materials Project.

Lattice parameters (Å, degrees): 10.1840 10.1866 14.4068 19.46 19.45 33.52
Sites, in units of the cell vectors:
Ni 0.5024 0.4994 0.9977
Ni 0.0012 0.4962 0.0012
Ni 0.5062 0.0004 0.9950
Li 0.9997 0.4941 0.5022
Li 0.4986 0.9931 0.5055
Li 0.4975 0.4984 0.5034
Li 0.9935 0.0034 0.5002
O 0.0010 0.9992 0.7381
O 0.0035 0.4649 0.7638
O 0.4681 0.4617 0.3022
O 0.0022 0.5318 0.2328
O 0.5392 0.9976 0.2314
O 0.5391 0.5355 0.6932
O 0.0074 0.9986 0.2564
O 0.4649 0.9967 0.7686
V 0.0052 0.0044 0.9933

Values from the calculation:
As for the total moment: 5.0 μB/cell. As for the energy relative to the elements: -2851 kJ/mol of formula units. The calculated density comes out at 4.4 g cm⁻³. The calculation puts the volume at 8.98 Å³ per atom. The calculation puts the total energy at -5.523 eV/atom. As for the crystal system: triclinic. The space-group type is P1 (1).

No. 3
The following is a PBE with a Hubbard U calculation of Li2VNiO4 after structural relaxation, from Materials Project.

Lattice parameters (Å, degrees): 5.1373 5.9342 5.9283 59.49 106.74 106.88
Sites, in units of the cell vectors:
V 0.5000 0.7500 0.7500
V 0.5000 0.2500 0.2500
Ni 0.5002 0.2500 0.7499
Ni 0.4999 0.7500 0.2500
O 0.7270 0.1275 0.1314
O 0.2730 0.3725 0.3686
O 0.2692 0.3843 0.8842
O 0.2769 0.8910 0.3913
O 0.7230 0.6090 0.1087
O 0.7275 0.6312 0.6277
O 0.7308 0.1157 0.6158
O 0.2725 0.8688 0.8723
Li 0.0043 0.4985 0.9987
Li 0.0000 0.4913 0.5087
Li 0.0000 0.0087 0.9914
Li 0.9957 0.0015 0.5013

Values from the calculation:
As for the total moment: 6.0 μB/cell. As for the energy relative to the elements: -1647 kJ/mol of formula units. The calculated density comes out at 4.2 g cm⁻³. The calculation puts the volume at 9.18 Å³ per atom. The calculation puts the total energy at -6.069 eV/atom. As for the crystal system: triclinic. The space-group type is P-1 (2).

No. 4
The following is a PBE with a Hubbard U calculation of Li2VNiO4 after structural relaxation, from Materials Project.

Lattice parameters (Å, degrees): 2.9774 5.0736 5.1060 71.39 90.00 90.00
Sites, in units of the cell vectors:
O 0.0000 0.7356 0.7241
O 0.0000 0.2644 0.2759
O 0.5000 0.2698 0.7334
O 0.5000 0.7302 0.2666
Ni 0.5000 0.0000 0.5000
V 0.0000 0.5000 0.5000
Li 0.5000 0.5000 0.0000
Li 0.0000 0.0000 0.0000

Values from the calculation:
As for the total moment: 3.0 μB/cell. As for the energy relative to the elements: -1656 kJ/mol of formula units. The calculated density comes out at 4.3 g cm⁻³. The calculation puts the volume at 9.14 Å³ per atom. The calculation puts the total energy at -6.080 eV/atom. As for the crystal system: monoclinic. The space-group type is P2/m (10).

No. 5
The following is a PBE with a Hubbard U calculation of LiV4Ni2O12 after structural relaxation, from Materials Project.

Lattice parameters (Å, degrees): 6.8874 6.7292 5.7527 73.30 103.42 98.16
Sites, in units of the cell vectors:
V 0.6132 0.2013 0.7713
V 0.3910 0.8610 0.1988
V 0.7827 0.3929 0.2544
V 0.1993 0.6328 0.7360
O 0.6648 0.3943 0.9417
O 0.1688 0.9937 0.1436
O 0.3391 0.6359 0.0393
O 0.3378 0.6533 0.5048
O 0.9854 0.2396 0.3621
O 0.3849 0.0707 0.8056
O 0.6319 0.9654 0.2862
O 0.8714 0.6366 0.2401
O 0.0378 0.8317 0.6406
O 0.5920 0.3321 0.4492
O 0.0710 0.3948 0.7747
O 0.7983 0.0380 0.8641
Li 0.2691 0.4124 0.3235
Ni 0.9154 0.9381 0.2696
Ni 0.0763 0.0957 0.7692

Values from the calculation:
As for the total moment: 2.9 μB/cell. As for the energy relative to the elements: -3675 kJ/mol of formula units. The calculated density comes out at 3.5 g cm⁻³. The calculation puts the volume at 13.03 Å³ per atom. The calculation puts the total energy at -6.692 eV/atom. As for the crystal system: triclinic. The space-group type is P1 (1).

No. 6
The following is a PBE with a Hubbard U calculation of Li4V3Ni3W2O16 after structural relaxation, from Materials Project.

Lattice parameters (Å, degrees): 5.9514 5.9514 9.7216 89.85 89.85 60.52
Sites, in units of the cell vectors:
Li 0.9994 0.9994 0.5106
Li 0.6634 0.6634 0.0967
Li 0.0020 0.0020 0.0131
Li 0.3321 0.3321 0.5952
O 0.5198 0.5198 0.6472
O 0.8284 0.8284 0.4141
O 0.3167 0.3167 0.3908
O 0.0094 0.0094 0.2026
O 0.6586 0.6586 0.8948
O 0.5157 0.9597 0.6497
O 0.4771 0.4771 0.1498
O 0.4685 0.0380 0.1485
O 0.3463 0.8305 0.4097
O 0.1777 0.1777 0.9081
O 0.0380 0.4685 0.1485
O 0.8305 0.3463 0.4097
O 0.6597 0.1754 0.9129
O 0.0017 0.0017 0.6989
O 0.9597 0.5157 0.6497
O 0.1754 0.6597 0.9129
V 0.1750 0.1750 0.2762
V 0.8367 0.3448 0.7828
V 0.3448 0.8367 0.7828
Ni 0.1681 0.6593 0.2888
Ni 0.6593 0.1681 0.2888
Ni 0.8292 0.8292 0.7887
W 0.3404 0.3404 0.0105
W 0.6663 0.6663 0.5102

Values from the calculation:
As for the total moment: 11.0 μB/cell. As for the energy relative to the elements: -5794 kJ/mol of formula units. The calculated density comes out at 5.4 g cm⁻³. The calculation puts the volume at 10.71 Å³ per atom. The calculation puts the total energy at -6.599 eV/atom. As for the crystal system: monoclinic. The space-group type is Cm (8).

No. 7
The following is a PBE with a Hubbard U calculation of Li4Ni3WO8 after structural relaxation, from Materials Project.

Lattice parameters (Å, degrees): 10.3185 10.3185 14.5738 19.68 19.68 33.91
Sites, in units of the cell vectors:
Ni 0.0000 0.5000 0.0000
Ni 0.5000 0.5000 0.0000
Ni 0.5000 0.0000 0.0000
Li 0.0000 0.0000 0.5000
Li 0.0000 0.5000 0.5000
Li 0.5000 0.0000 0.5000
Li 0.5000 0.5000 0.5000
O 0.5382 0.0000 0.2296
O 0.4618 0.0000 0.7704
O 0.0000 0.5381 0.2296
O 0.4618 0.4618 0.3059
O 0.0000 0.0000 0.7397
O 0.0000 0.0000 0.2603
O 0.0000 0.4619 0.7704
O 0.5382 0.5382 0.6941
W 0.0000 0.0000 0.0000

Values from the calculation:
As for the total moment: 6.0 μB/cell. As for the energy relative to the elements: -2881 kJ/mol of formula units. The calculated density comes out at 5.6 g cm⁻³. The calculation puts the volume at 9.52 Å³ per atom. The calculation puts the total energy at -5.614 eV/atom. As for the crystal system: trigonal. The space-group type is R-3m (166).

No. 8
The following is a PBE with a Hubbard U calculation of Li3YNi2O6 after structural relaxation, from Materials Project.

Lattice parameters (Å, degrees): 5.2778 10.1224 5.3260 96.00 60.29 102.16
Sites, in units of the cell vectors:
Y 0.4969 0.5000 0.0059
Y 0.0029 0.0001 0.9946
O 0.1676 0.6168 0.3529
O 0.8967 0.6153 0.0317
O 0.5678 0.6114 0.6254
O 0.4791 0.3834 0.3528
O 0.6035 0.8846 0.9683
O 0.9316 0.8887 0.3753
O 0.0204 0.1167 0.6476
O 0.0713 0.3848 0.0316
O 0.6930 0.1111 0.3755
O 0.3322 0.8832 0.6478
O 0.8065 0.3887 0.6252
O 0.4285 0.1151 0.9687
Ni 0.8323 0.5001 0.3351
Ni 0.3353 0.9997 0.3296
Ni 0.6675 0.9999 0.6653
Ni 0.1645 0.5002 0.6705
Li 0.0340 0.2503 0.3890
Li 0.9227 0.7505 0.6115
Li 0.4659 0.2496 0.6110
Li 0.2514 0.7499 0.9977
Li 0.7506 0.2501 0.9981
Li 0.5775 0.7497 0.3888

Values from the calculation:
As for the total moment: 4.0 μB/cell. As for the energy relative to the elements: -2337 kJ/mol of formula units. The calculated density comes out at 4.4 g cm⁻³. The calculation puts the volume at 10.07 Å³ per atom. The calculation puts the total energy at -5.705 eV/atom. As for the crystal system: monoclinic. The space-group type is C2 (5).

No. 9
The following is a PBE with a Hubbard U calculation of Li3YNi2O6 after structural relaxation, from Materials Project.

Lattice parameters (Å, degrees): 5.3140 5.3153 5.2249 81.44 98.64 59.28
Sites, in units of the cell vectors:
O 0.0747 0.5627 0.2315
O 0.9253 0.4373 0.7684
O 0.7061 0.2935 0.2370
O 0.5625 0.0751 0.7683
O 0.4375 0.9249 0.2317
O 0.2938 0.7065 0.7630
Li 0.1921 0.1919 0.5000
Li 0.8079 0.8081 0.5000
Li 0.5000 0.5000 0.5000
Ni 0.3339 0.3339 0.0000
Ni 0.6662 0.6662 0.0000
Y 0.0000 0.0000 0.0000

Values from the calculation:
As for the total moment: 2.0 μB/cell. As for the energy relative to the elements: -2326 kJ/mol of formula units. The calculated density comes out at 4.4 g cm⁻³. The calculation puts the volume at 10.08 Å³ per atom. The calculation puts the total energy at -5.695 eV/atom. As for the crystal system: monoclinic. The space-group type is C2/m (12).

No. 10
The following is a PBE with a Hubbard U calculation of Li3YNi2O6 after structural relaxation, from Materials Project.

Lattice parameters (Å, degrees): 5.3582 7.9358 6.1651 79.02 73.04 75.56
Sites, in units of the cell vectors:
O 0.7023 0.9197 0.8571
O 0.7357 0.2274 0.5349
O 0.2642 0.7726 0.4651
O 0.2977 0.0803 0.1429
O 0.7643 0.2726 0.9650
O 0.7373 0.6033 0.1617
O 0.2374 0.1031 0.6618
O 0.7626 0.8967 0.3384
O 0.7980 0.5802 0.6428
O 0.2627 0.3967 0.8383
O 0.2025 0.4196 0.3571
O 0.2358 0.7274 0.0349
Li 0.0325 0.3475 0.1432
Li 0.9998 0.0000 0.5000
Li 0.9673 0.6525 0.8568
Li 0.5001 0.5000 0.0001
Li 0.4673 0.1526 0.3568
Li 0.5322 0.8479 0.6431
Y 0.5000 0.5000 0.5001
Y 0.0000 0.0001 0.0000
Ni 0.0002 0.6651 0.3342
Ni 0.0003 0.3345 0.6657
Ni 0.5001 0.1651 0.8342
Ni 0.4999 0.8350 0.1658

Values from the calculation:
As for the total moment: 0.0 μB/cell. As for the energy relative to the elements: -2325 kJ/mol of formula units. The calculated density comes out at 4.5 g cm⁻³. The calculation puts the volume at 10.04 Å³ per atom. The calculation puts the total energy at -5.695 eV/atom.

No. 11
The following is a PBE with a Hubbard U calculation of Li9YNi2O8 after structural relaxation, from Materials Project.

Lattice parameters (Å, degrees): 6.5058 7.7125 16.1726 90.00 90.00 90.00
Sites, in units of the cell vectors:
O 0.9880 0.1917 0.4677
O 0.2500 0.1172 0.6312
O 0.2500 0.9861 0.1208
O 0.4935 0.1921 0.2781
O 0.9935 0.6921 0.2219
O 0.4935 0.3079 0.7781
O 0.0120 0.6917 0.0323
O 0.7500 0.1105 0.6316
O 0.7500 0.8828 0.3688
O 0.5120 0.1917 0.4677
O 0.5120 0.3083 0.9677
O 0.7500 0.9968 0.0938
O 0.0065 0.3079 0.7781
O 0.2500 0.4968 0.4062
O 0.2500 0.0032 0.9062
O 0.2500 0.6105 0.8684
O 0.7500 0.6172 0.8688
O 0.2500 0.5139 0.6208
O 0.0120 0.8083 0.5323
O 0.4880 0.6917 0.0323
O 0.7500 0.4861 0.3792
O 0.9880 0.3083 0.9677
O 0.5065 0.6921 0.2219
O 0.2500 0.8895 0.3684
O 0.9935 0.8079 0.7219
O 0.0065 0.1921 0.2781
O 0.4880 0.8083 0.5323
O 0.2500 0.3828 0.1312
O 0.7500 0.5032 0.5938
O 0.7500 0.0139 0.8792
O 0.7500 0.3895 0.1316
O 0.5065 0.8079 0.7219
Li 0.7500 0.6378 0.1465
Li 0.4908 0.5825 0.7891
Li 0.5092 0.0825 0.7109
Li 0.5009 0.6296 0.6272
Li 0.0092 0.9175 0.2891
Li 0.2500 0.8315 0.8035
Li 0.0001 0.0404 0.5696
Li 0.5009 0.8704 0.1272
Li 0.9991 0.6296 0.6272
Li 0.9999 0.9596 0.4304
Li 0.2500 0.6685 0.3035
Li 0.4999 0.4596 0.0696
Li 0.7500 0.8622 0.6465
Li 0.2500 0.8498 0.6466
Li 0.2500 0.6502 0.1466
Li 0.7500 0.1502 0.3534
Li 0.7500 0.1685 0.1965
Li 0.4991 0.3704 0.3728
Li 0.7500 0.3315 0.6965
Li 0.7500 0.3498 0.8534
Li 0.2500 0.1378 0.3535
Li 0.4991 0.1296 0.8728
Li 0.2500 0.3622 0.8535
Li 0.4908 0.9175 0.2891
Li 0.9908 0.4175 0.2109
Li 0.0009 0.1296 0.8728
Li 0.0001 0.4596 0.0696
Li 0.9908 0.0825 0.7109
Li 0.4999 0.0404 0.5696
Li 0.0092 0.5825 0.7891
Li 0.0009 0.3704 0.3728
Li 0.9991 0.8704 0.1272
Li 0.5001 0.5404 0.9304
Li 0.9999 0.5404 0.9304
Li 0.5092 0.4175 0.2109
Li 0.5001 0.9596 0.4304
Ni 0.2500 0.1692 0.2039
Ni 0.7500 0.6692 0.2961
Ni 0.2500 0.3308 0.7039
Ni 0.7500 0.2790 0.5340
Ni 0.7500 0.8308 0.7961
Ni 0.7500 0.2210 0.0340
Ni 0.2500 0.7210 0.4660
Ni 0.2500 0.7790 0.9660
Y 0.7500 0.8254 0.9787
Y 0.2500 0.1746 0.0213
Y 0.2500 0.3254 0.5213
Y 0.7500 0.6746 0.4787

Values from the calculation:
As for the total moment: 0.0 μB/cell. As for the energy relative to the elements: -3945 kJ/mol of formula units. The calculated density comes out at 3.2 g cm⁻³. The calculation puts the volume at 10.14 Å³ per atom. The calculation puts the total energy at -5.255 eV/atom. As for the crystal system: orthorhombic. The space-group type is Pnma (62).

No. 12
The following is a PBE with a Hubbard U calculation of RbLiVP2O8 after structural relaxation, from Materials Project.

Lattice parameters (Å, degrees): 9.0281 4.9387 16.3674 84.67 90.00 90.00
Sites, in units of the cell vectors:
Li 0.5147 0.7550 0.0173
Li 0.9853 0.7550 0.5173
Li 0.0147 0.2450 0.4827
Li 0.4853 0.2450 0.9827
Rb 0.8640 0.0969 0.0898
Rb 0.1360 0.9031 0.9102
Rb 0.3640 0.9031 0.4102
Rb 0.6360 0.0969 0.5898
V 0.5692 0.0957 0.8315
V 0.9308 0.0957 0.3315
V 0.4308 0.9043 0.1685
V 0.0692 0.9043 0.6685
O 0.2799 0.7132 0.2481
O 0.0905 0.5619 0.1463
O 0.9677 0.0454 0.5867
O 0.7201 0.2868 0.7519
O 0.9095 0.4381 0.8537
O 0.7313 0.8251 0.8491
O 0.5323 0.0454 0.0867
O 0.4898 0.8847 0.7436
O 0.5102 0.1153 0.2564
O 0.9898 0.1153 0.7564
O 0.7799 0.2868 0.2519
O 0.8456 0.3576 0.4184
O 0.5905 0.4381 0.3537
O 0.6578 0.6409 0.4869
O 0.2313 0.1749 0.6509
O 0.6544 0.3576 0.9184
O 0.2201 0.7132 0.7481
O 0.4095 0.5619 0.6463
O 0.2687 0.1749 0.1509
O 0.1544 0.6424 0.5816
O 0.1578 0.3591 0.0131
O 0.7687 0.8251 0.3491
O 0.9242 0.5991 0.6988
O 0.0102 0.8847 0.2436
O 0.0758 0.4009 0.3012
O 0.3456 0.6424 0.0816
O 0.3422 0.3591 0.5131
O 0.4242 0.4009 0.8012
O 0.4677 0.9546 0.9133
O 0.0323 0.9546 0.4133
O 0.8422 0.6409 0.9869
O 0.5758 0.5991 0.1988
P 0.7779 0.5779 0.9058
P 0.2779 0.4221 0.5942
P 0.2221 0.4221 0.0942
P 0.6148 0.3587 0.2597
P 0.1148 0.6413 0.2403
P 0.8852 0.3587 0.7597
P 0.3852 0.6413 0.7403
P 0.7221 0.5779 0.4058

Values from the calculation:
As for the total moment: 4.0 μB/cell. As for the energy relative to the elements: -3291 kJ/mol of formula units. The calculated density comes out at 3.0 g cm⁻³. The calculation puts the volume at 13.97 Å³ per atom. The calculation puts the total energy at -6.869 eV/atom. As for the crystal system: monoclinic. The space-group type is P2_1/c (14).